Entry 1:
DFT (GGA+U) results for crystalline LiV2O3F3 at its relaxed geometry.

Output
**ΔE_f**: -2728 meV/atom
**Excess energy over the best structure of this formula in the dataset**: 0.002 eV/atom
**Electronic total energy**: -6.4851 eV per atom
**Magnetization**: 2.0 μB/f.u.

Lattice parameters (Å, degrees): 5.1139 5.1243 13.5133 89.97 88.83 60.74
Fractional coordinates of all 27 atoms:
Li 0.0000 0.0000 0.0000
Li 0.3107 0.3541 0.3345
Li 0.6319 0.6798 0.6702
V 0.2808 0.3709 0.1131
V 0.3260 0.3284 0.6257
V 0.6561 0.6620 0.9588
V 0.6662 0.7094 0.4473
V 0.9649 0.9626 0.7817
V 0.9884 0.0566 0.2917
O 0.2300 0.1014 0.2129
O 0.2686 0.6567 0.7104
O 0.3753 0.6322 0.0428
O 0.4033 0.0268 0.5487
O 0.6509 0.0540 0.7132
O 0.6959 0.9683 0.3734
O 0.8886 0.7353 0.8786
O 0.9407 0.3508 0.3834
O 0.9938 0.3892 0.0440
F 0.0148 0.2961 0.7091
F 0.0487 0.6808 0.2134
F 0.2874 0.9402 0.8806
F 0.3159 0.7270 0.3758
F 0.5853 0.4440 0.5466
F 0.6177 0.0186 0.0450
F 0.6224 0.3012 0.2157
F 0.7201 0.3099 0.8837
F 0.9756 0.6296 0.5471

=====

Entry 2:
DFT (GGA+U) results for crystalline K3V2S4O18 at its relaxed geometry.

Output
**ΔE_f**: -2146 meV/atom
**Excess energy over the best structure of this formula in the dataset**: 0.009 eV/atom
**Electronic total energy**: -6.2702 eV per atom
**Magnetization**: 1.0 μB/f.u.

Lattice parameters (Å, degrees): 5.0269 18.4702 9.2910 90.00 90.15 90.00
Fractional coordinates of all 54 atoms:
K 0.2363 0.0000 0.0849
K 0.2495 0.3815 0.2500
K 0.2632 0.7631 0.4152
K 0.7368 0.2631 0.5848
K 0.7505 0.8815 0.7500
K 0.7637 0.5000 0.9151
V 0.2413 0.5641 0.5412
V 0.2571 0.1990 0.9582
V 0.7429 0.6990 0.0418
V 0.7587 0.0641 0.4588
S 0.2371 0.8052 0.9998
S 0.2495 0.5928 0.1326
S 0.2519 0.1703 0.3676
S 0.2641 0.9580 0.5005
S 0.7359 0.4580 0.4995
S 0.7481 0.6703 0.6324
S 0.7505 0.0928 0.8674
S 0.7629 0.3052 0.0002
O 0.0124 0.6504 0.5625
O 0.0255 0.2719 0.0510
O 0.0403 0.6311 0.0414
O 0.0505 0.0116 0.5479
O 0.2152 0.5149 0.1117
O 0.2286 0.8912 0.5829
O 0.2380 0.5348 0.7028
O 0.2388 0.8152 0.1544
O 0.2397 0.6182 0.2811
O 0.2598 0.2283 0.7965
O 0.2605 0.1450 0.2191
O 0.2621 0.9484 0.3459
O 0.2738 0.8718 0.9169
O 0.2857 0.2481 0.3884
O 0.4501 0.7512 0.9530
O 0.4618 0.1322 0.4584
O 0.4738 0.4914 0.4485
O 0.4853 0.1126 0.9365
O 0.5147 0.6126 0.0635
O 0.5262 0.9914 0.5515
O 0.5382 0.6322 0.5416
O 0.5499 0.2512 0.0470
O 0.7143 0.7481 0.6116
O 0.7262 0.3718 0.0831
O 0.7379 0.4484 0.6541
O 0.7395 0.6450 0.7809
O 0.7402 0.7283 0.2035
O 0.7603 0.1182 0.7189
O 0.7612 0.3152 0.8456
O 0.7620 0.0348 0.2972
O 0.7714 0.3912 0.4171
O 0.7848 0.0149 0.8883
O 0.9495 0.5116 0.4521
O 0.9597 0.1311 0.9586
O 0.9745 0.7719 0.9490
O 0.9876 0.1504 0.4375

=====

Entry 3:
DFT (GGA+U) results for crystalline BaSrSmCrO6 at its relaxed geometry.

Output
**ΔE_f**: -2808 meV/atom
**Electronic total energy**: -6.9625 eV per atom
**Magnetization**: 1.0 μB/f.u.

Lattice parameters (Å, degrees): 5.9118 5.9118 5.9118 60.00 60.00 60.00
Fractional coordinates of all 10 atoms:
Ba 0.0000 0.0000 0.0000
Sr 0.5000 0.5000 0.5000
Sm 0.2500 0.2500 0.2500
Cr 0.7500 0.7500 0.7500
O 0.5223 0.5223 0.9777
O 0.5223 0.9777 0.5223
O 0.5223 0.9777 0.9777
O 0.9777 0.5223 0.5223
O 0.9777 0.5223 0.9777
O 0.9777 0.9777 0.5223

=====

Entry 4:
DFT (GGA+U) results for crystalline Li3V2P3O12 at its relaxed geometry.

Output
**ΔE_f**: -2721 meV/atom
**Excess energy over the best structure of this formula in the dataset**: 0.007 eV/atom
**Electronic total energy**: -7.1141 eV per atom
**Magnetization**: 4.0 μB/f.u.

Lattice parameters (Å, degrees): 8.7551 8.7422 15.0762 90.00 125.05 90.00
Fractional coordinates of all 80 atoms:
Li 0.0516 0.2148 0.3250
Li 0.0516 0.2852 0.8250
Li 0.3422 0.5965 0.2928
Li 0.3422 0.9035 0.7928
Li 0.3896 0.2285 0.2208
Li 0.3896 0.2715 0.7208
Li 0.6104 0.7285 0.2792
Li 0.6104 0.7715 0.7792
Li 0.6578 0.0965 0.2072
Li 0.6578 0.4035 0.7072
Li 0.9484 0.7148 0.1750
Li 0.9484 0.7852 0.6750
V 0.1324 0.5373 0.3882
V 0.1324 0.9627 0.8882
V 0.3632 0.5307 0.1077
V 0.3632 0.9693 0.6077
V 0.6368 0.0307 0.3923
V 0.6368 0.4693 0.8923
V 0.8676 0.0373 0.1118
V 0.8676 0.4627 0.6118
P 0.0390 0.1056 0.6458
P 0.0390 0.3944 0.1458
P 0.2511 0.6082 0.6467
P 0.2511 0.8918 0.1467
P 0.4610 0.2467 0.9965
P 0.4610 0.2533 0.4965
P 0.5390 0.7467 0.5035
P 0.5390 0.7533 0.0035
P 0.7489 0.1082 0.8533
P 0.7489 0.3918 0.3533
P 0.9610 0.6056 0.8542
P 0.9610 0.8944 0.3542
O 0.0164 0.2350 0.1823
O 0.0164 0.2650 0.6823
O 0.0842 0.5175 0.2336
O 0.0842 0.9825 0.7336
O 0.0978 0.5959 0.6681
O 0.0978 0.9041 0.1681
O 0.1327 0.5523 0.9611
O 0.1327 0.9477 0.4611
O 0.1742 0.5782 0.5297
O 0.1742 0.9218 0.0297
O 0.2153 0.1122 0.6443
O 0.2153 0.3878 0.1443
O 0.2699 0.1645 0.9293
O 0.2699 0.3355 0.4293
O 0.3305 0.7239 0.1812
O 0.3305 0.7761 0.6812
O 0.3757 0.6343 0.4309
O 0.3757 0.8657 0.9309
O 0.4162 0.0058 0.2207
O 0.4162 0.4942 0.7207
O 0.4592 0.1497 0.5793
O 0.4592 0.3503 0.0793
O 0.4798 0.1699 0.4130
O 0.4798 0.3301 0.9130
O 0.5202 0.6699 0.0870
O 0.5202 0.8301 0.5870
O 0.5408 0.6497 0.9207
O 0.5408 0.8503 0.4207
O 0.5838 0.5058 0.2793
O 0.5838 0.9942 0.7793
O 0.6243 0.1343 0.0691
O 0.6243 0.3657 0.5691
O 0.6695 0.2239 0.3188
O 0.6695 0.2761 0.8188
O 0.7301 0.6645 0.5707
O 0.7301 0.8355 0.0707
O 0.7847 0.6122 0.8557
O 0.7847 0.8878 0.3557
O 0.8258 0.0782 0.9703
O 0.8258 0.4218 0.4703
O 0.8673 0.0523 0.5389
O 0.8673 0.4477 0.0389
O 0.9022 0.0959 0.8319
O 0.9022 0.4041 0.3319
O 0.9158 0.0175 0.2664
O 0.9158 0.4825 0.7664
O 0.9836 0.7350 0.3177
O 0.9836 0.7650 0.8177

=====

Entry 5:
DFT (GGA+U) results for crystalline SrNi2P2H4O10 at its relaxed geometry.

Output
**ΔE_f**: -2128 meV/atom
**Electronic total energy**: -6.0847 eV per atom
**Magnetization**: 0.0 μB/f.u.

Lattice parameters (Å, degrees): 6.0999 9.0193 7.5750 101.10 66.26 90.00
Fractional coordinates of all 38 atoms:
O 0.8473 0.8833 0.7269
O 0.6689 0.6296 0.6622
O 0.9983 0.7068 0.0031
O 0.0744 0.6168 0.2731
O 0.8312 0.8704 0.3378
O 0.1799 0.6338 0.6401
O 0.4256 0.8832 0.7269
O 0.5016 0.7932 0.9969
O 0.5744 0.1168 0.2731
O 0.6526 0.6167 0.2731
O 0.6799 0.1338 0.6401
O 0.3312 0.3703 0.3378
O 0.0015 0.2932 0.9969
O 0.4984 0.2068 0.0031
O 0.3473 0.3833 0.7270
O 0.1526 0.1168 0.2731
O 0.8201 0.3662 0.3599
O 0.1689 0.1297 0.6622
O 0.9256 0.3832 0.7269
O 0.3201 0.8662 0.3599
P 0.3889 0.1986 0.2223
P 0.6111 0.8014 0.7777
P 0.8888 0.6986 0.2223
P 0.1111 0.3014 0.7778
Ni 0.5001 0.9999 0.5000
Ni 0.0001 0.0001 0.5000
Ni 0.0004 0.4997 0.4997
Ni 0.5000 0.5001 0.5001
Sr 0.5000 0.5001 0.0000
Sr 0.0000 0.0000 0.0000
H 0.3971 0.8576 0.2057
H 0.6826 0.2413 0.6346
H 0.1028 0.6424 0.7943
H 0.6028 0.1424 0.7943
H 0.8172 0.2587 0.3655
H 0.1827 0.7412 0.6345
H 0.8971 0.3576 0.2057
H 0.3172 0.7588 0.3655

=====

Entry 6:
DFT (GGA+U) results for crystalline Li4CrFe3O8 at its relaxed geometry.

Output
**ΔE_f**: -2057 meV/atom
**Excess energy over the best structure of this formula in the dataset**: 0.000 eV/atom
**Electronic total energy**: -6.3084 eV per atom
**Magnetization**: 18.0 μB/f.u.

Lattice parameters (Å, degrees): 5.1789 7.8799 7.8800 81.80 70.99 83.74
Fractional coordinates of all 32 atoms:
Li 0.0005 0.1883 0.4370
Li 0.9995 0.8117 0.5630
Li 0.0010 0.4384 0.6868
Li 0.0008 0.9378 0.1869
Li 0.0023 0.6876 0.9362
Li 0.9977 0.3124 0.0638
Li 0.9992 0.0622 0.8131
Li 0.9990 0.5616 0.3132
Cr 0.5000 0.3753 0.3754
Cr 0.5000 0.6247 0.6246
Fe 0.4992 0.2505 0.7499
Fe 0.5000 0.0000 0.5000
Fe 0.4998 0.1254 0.1253
Fe 0.5000 0.5000 0.0000
Fe 0.5002 0.8746 0.8747
Fe 0.5008 0.7495 0.2501
O 0.2708 0.0933 0.9643
O 0.2710 0.7177 0.0896
O 0.2710 0.9677 0.3392
O 0.2724 0.4691 0.8380
O 0.2727 0.2190 0.5879
O 0.2727 0.3434 0.2157
O 0.2727 0.8414 0.7133
O 0.2748 0.5916 0.4646
O 0.7252 0.4084 0.5354
O 0.7273 0.1586 0.2867
O 0.7273 0.6566 0.7843
O 0.7273 0.7810 0.4121
O 0.7276 0.5309 0.1620
O 0.7290 0.0323 0.6608
O 0.7290 0.2823 0.9104
O 0.7292 0.9067 0.0357

=====

Entry 7:
DFT (GGA+U) results for crystalline MgTiVO4 at its relaxed geometry.

Output
**ΔE_f**: -2760 meV/atom
**Excess energy over the best structure of this formula in the dataset**: 0.148 eV/atom
**Electronic total energy**: -7.6067 eV per atom
**Magnetization**: 3.0 μB/f.u.

Lattice parameters (Å, degrees): 2.9498 5.3965 5.3965 75.69 90.00 90.00
Fractional coordinates of all 7 atoms:
Mg 0.0000 0.0000 0.0000
Ti 0.5000 0.7115 0.7115
V 0.0000 0.3229 0.3229
O 0.0000 0.6226 0.9815
O 0.0000 0.9815 0.6226
O 0.5000 0.1438 0.1438
O 0.5000 0.5014 0.5014

=====

Entry 8:
DFT (GGA+U) results for crystalline Ho5Mo2O12 at its relaxed geometry.

Output
**ΔE_f**: -3342 meV/atom
**Electronic total energy**: -8.0434 eV per atom

Lattice parameters (Å, degrees): 6.8507 6.8507 7.3116 105.57 105.57 51.85
Fractional coordinates of all 19 atoms:
Ho 0.0000 0.0000 0.0000
Ho 0.3002 0.3002 0.1361
Ho 0.3090 0.3090 0.6771
Ho 0.6910 0.6910 0.3229
Ho 0.6998 0.6998 0.8639
Mo 0.2473 0.7527 0.5000
Mo 0.7527 0.2473 0.5000
O 0.0035 0.0035 0.3132
O 0.0965 0.5972 0.9276
O 0.1007 0.5660 0.4131
O 0.4028 0.9035 0.0724
O 0.4340 0.8993 0.5869
O 0.4986 0.4986 0.6973
O 0.5014 0.5014 0.3027
O 0.5660 0.1007 0.4131
O 0.5972 0.0965 0.9276
O 0.8993 0.4340 0.5869
O 0.9035 0.4028 0.0724
O 0.9965 0.9965 0.6868

=====

Number 1: calculated volume 308.8 Å³ per cell. Number 2: calculated volume 862.6 Å³ per cell. Number 3: calculated volume 146.1 Å³ per cell. Number 4: calculated volume 944.7 Å³ per cell. Number 5: calculated volume 373.0 Å³ per cell. Number 6: calculated volume 300.3 Å³ per cell. Number 7: calculated volume 83.2 Å³ per cell. Number 8: calculated volume 257.6 Å³ per cell.